# 1
Here is a relaxed ScAl crystal from Materials Project. Energies are from r²SCAN.

Energy of formation in eV per atom: -0.47
V in Å³/atom: 19.1
Total magnetic moment in μB per formula unit: 0.0

CIF file:
```
data_ScAl
_cell_length_a 3.370
_cell_length_b 3.370
_cell_length_c 3.370
_cell_angle_alpha 90.00
_cell_angle_beta 90.00
_cell_angle_gamma 90.00
_space_group_name_H-M_alt 'P m -3 m'
_space_group_IT_number 221
_space_group_name_Hall '-P 4 2 3'
loop_
_atom_site_label
_atom_site_fract_x
_atom_site_fract_y
_atom_site_fract_z
Sc1 0.000 0.000 0.000
Al1 0.500 0.500 0.500
```

=====

# 2
Here is a relaxed Sc2AlTc crystal from Materials Project. Energies are from r²SCAN.

Energy of formation in eV per atom: -0.38
V in Å³/atom: 18.0
Total magnetic moment in μB per formula unit: 0.0

CIF file:
```
data_Sc2AlTc
_cell_length_a 6.610
_cell_length_b 6.610
_cell_length_c 6.610
_cell_angle_alpha 90.00
_cell_angle_beta 90.00
_cell_angle_gamma 90.00
_space_group_name_H-M_alt 'F m -3 m'
_space_group_IT_number 225
_space_group_name_Hall '-F 4 2 3'
loop_
_atom_site_label
_atom_site_fract_x
_atom_site_fract_y
_atom_site_fract_z
Sc1 0.250 0.250 0.250
Al1 0.000 0.000 0.000
Tc1 0.000 0.000 0.500
```

=====

# 3
Here is a relaxed YbScAl4 crystal from Materials Project. Energies are from r²SCAN.

Energy of formation in eV per atom: -0.55
V in Å³/atom: 18.6
Total magnetic moment in μB per formula unit: 0.0

CIF file:
```
data_YbScAl4
_cell_length_a 7.646
_cell_length_b 7.646
_cell_length_c 7.646
_cell_angle_alpha 90.00
_cell_angle_beta 90.00
_cell_angle_gamma 90.00
_space_group_name_H-M_alt 'F -4 3 m'
_space_group_IT_number 216
_space_group_name_Hall 'F -4 2 3'
loop_
_atom_site_label
_atom_site_fract_x
_atom_site_fract_y
_atom_site_fract_z
Yb1 0.000 0.000 0.000
Sc1 0.250 0.250 0.750
Al1 0.125 0.125 0.375
```

=====

# 4
Here is a relaxed Sc2AlZn crystal from Materials Project. Energies are from r²SCAN.

Energy of formation in eV per atom: -0.44
V in Å³/atom: 19.0
Total magnetic moment in μB per formula unit: 0.0

CIF file:
```
data_Sc2AlZn
_cell_length_a 6.724
_cell_length_b 6.724
_cell_length_c 6.724
_cell_angle_alpha 90.00
_cell_angle_beta 90.00
_cell_angle_gamma 90.00
_space_group_name_H-M_alt 'F m -3 m'
_space_group_IT_number 225
_space_group_name_Hall '-F 4 2 3'
loop_
_atom_site_label
_atom_site_fract_x
_atom_site_fract_y
_atom_site_fract_z
Sc1 0.250 0.250 0.250
Al1 0.000 0.000 0.000
Zn1 0.000 0.000 0.500
```

=====

Which value of energy of formation does entry 1 give?
-0.47 eV per atom